(1)
This record from the Materials Project database describes an optimized crystal structure of Pr2AlSi. The functional is r²SCAN.

Lattice parameters (Å, degrees): 6.1302 6.1302 4.1270 90.00 90.00 136.69
Fractional coordinates of all 4 atoms:
Al 0.0656 0.9344 0.0000
Pr 0.3586 0.6414 0.0000
Si 0.9316 0.0684 0.5000
Pr 0.6442 0.3558 0.5000

Energy relative to the elements: -63.6 kJ/mol of atoms

(2)
This record from the Materials Project database describes an optimized crystal structure of In5B4Ir9. The functional is r²SCAN.

Lattice parameters (Å, degrees): 5.6093 5.6093 10.3329 90.00 90.00 120.00
Fractional coordinates of all 18 atoms:
In 0.0000 0.0000 0.0000
In 0.0000 0.0000 0.6571
In 0.0000 0.0000 0.3429
Ir 0.0000 0.4784 0.0000
B 0.6667 0.3333 0.8532
B 0.3333 0.6667 0.1468
Ir 0.4761 0.0000 0.2758
Ir 0.4761 0.0000 0.7242
Ir 0.0000 0.4761 0.7242
B 0.3333 0.6667 0.8532
In 0.3333 0.6667 0.5000
In 0.6667 0.3333 0.5000
Ir 0.5239 0.5239 0.7242
Ir 0.5216 0.5216 0.0000
Ir 0.4784 0.0000 0.0000
Ir 0.0000 0.4761 0.2758
B 0.6667 0.3333 0.1468
Ir 0.5239 0.5239 0.2758

Energy relative to the elements: -28.9 kJ/mol of atoms

(3)
This record from the Materials Project database describes an optimized crystal structure of HoGa5Co. The functional is r²SCAN.

Lattice parameters (Å, degrees): 4.1658 4.1658 6.7383 90.00 90.00 90.00
Fractional coordinates of all 7 atoms:
Ga 0.5000 0.5000 0.0000
Ga 0.0000 0.5000 0.3111
Ga 0.5000 0.0000 0.6889
Ho 0.0000 0.0000 0.0000
Ga 0.0000 0.5000 0.6889
Ga 0.5000 0.0000 0.3111
Co 0.0000 0.0000 0.5000

Energy relative to the elements: -44.7 kJ/mol of atoms

(4)
This record from the Materials Project database describes an optimized crystal structure of BaTe2. The functional is r²SCAN.

Lattice parameters (Å, degrees): 6.8573 6.8573 6.8573 97.05 116.02 116.02
Fractional coordinates of all 6 atoms:
Te 0.7721 0.6361 0.1361
Te 0.5000 0.1361 0.3639
Te 0.5000 0.8639 0.6361
Te 0.2279 0.3639 0.8639
Ba 0.0000 0.2500 0.2500
Ba 0.0000 0.7500 0.7500

Energy relative to the elements: -133.7 kJ/mol of atoms

(5)
This record from the Materials Project database describes an optimized crystal structure of Nb9VO25. The functional is r²SCAN.

Lattice parameters (Å, degrees): 11.4235 11.4235 11.4233 91.63 91.63 160.58
Fractional coordinates of all 35 atoms:
Nb 0.3160 0.8748 0.2096
O 0.0636 0.4366 0.5192
Nb 0.6651 0.1064 0.7904
O 0.3534 0.1586 0.5106
O 0.7883 0.1817 0.9587
O 0.7518 0.6122 0.3641
O 0.7124 0.0038 0.7313
O 0.0189 0.2876 0.2915
Nb 0.8909 0.2157 0.1121
O 0.9449 0.1122 0.0650
Nb 0.1252 0.3349 0.4412
O 0.8878 0.9528 0.8327
O 0.5000 0.5000 0.0000
O 0.4556 0.9364 0.3730
O 0.8414 0.3520 0.1948
O 0.1704 0.2117 0.3934
Nb 0.7844 0.8965 0.6752
Nb 0.2213 0.1091 0.3248
O 0.9174 0.5444 0.4808
O 0.2725 0.9811 0.2687
O 0.2481 0.3877 0.6359
O 0.1572 0.6466 0.8052
O 0.1202 0.0551 0.1673
O 0.3878 0.7519 0.1396
O 0.6123 0.2482 0.8604
Nb 0.8936 0.6840 0.5588
V 0.7500 0.2500 0.5000
O 0.6480 0.8428 0.4894
Nb 0.1035 0.7787 0.8878
O 0.9962 0.7275 0.7085
O 0.0472 0.8798 0.9350
O 0.5634 0.0826 0.6270
O 0.8183 0.7770 0.6066
Nb 0.0000 0.0000 0.0000
O 0.2230 0.8296 0.0413

Energy relative to the elements: -262.4 kJ/mol of atoms

(6)
This record from the Materials Project database describes an optimized crystal structure of Zr5Re24. The functional is r²SCAN.

Lattice parameters (Å, degrees): 8.4517 8.4517 8.4517 109.47 109.47 109.47
Fractional coordinates of all 29 atoms:
Re 0.0000 0.3235 0.6039
Zr 0.0000 0.3724 0.0000
Re 0.7196 0.3961 0.3961
Re 0.3961 0.7196 0.3961
Re 0.6039 0.3235 0.0000
Re 0.6235 0.0000 0.8058
Re 0.0000 0.6235 0.8058
Zr 0.3724 0.0000 0.0000
Re 0.1942 0.8176 0.1942
Re 0.2804 0.6765 0.6765
Re 0.3765 0.1824 0.3765
Re 0.3235 0.0000 0.6039
Re 0.1942 0.1942 0.8176
Re 0.8176 0.1942 0.1942
Re 0.6765 0.2804 0.6765
Zr 0.6276 0.6276 0.6276
Zr 0.0000 0.0000 0.0000
Re 0.1824 0.3765 0.3765
Re 0.6039 0.0000 0.3235
Re 0.6235 0.8058 0.0000
Re 0.0000 0.6039 0.3235
Re 0.8058 0.6235 0.0000
Re 0.8058 0.0000 0.6235
Re 0.3765 0.3765 0.1824
Zr 0.0000 0.0000 0.3724
Re 0.0000 0.8058 0.6235
Re 0.3235 0.6039 0.0000
Re 0.3961 0.3961 0.7196
Re 0.6765 0.6765 0.2804

Energy relative to the elements: -25.9 kJ/mol of atoms

(7)
This record from the Materials Project database describes an optimized crystal structure of Dy2CdPd2. The functional is r²SCAN.

Lattice parameters (Å, degrees): 3.6846 7.6786 7.6786 90.00 90.00 90.00
Fractional coordinates of all 10 atoms:
Dy 0.5000 0.3277 0.1723
Pd 0.0000 0.6286 0.1286
Pd 0.0000 0.3714 0.8714
Cd 0.0000 0.0000 0.0000
Dy 0.5000 0.1723 0.6723
Dy 0.5000 0.8277 0.3277
Pd 0.0000 0.8714 0.6286
Dy 0.5000 0.6723 0.8277
Pd 0.0000 0.1286 0.3714
Cd 0.0000 0.5000 0.5000

Energy relative to the elements: -80.9 kJ/mol of atoms

(8)
This record from the Materials Project database describes an optimized crystal structure of Al7Te10. The functional is r²SCAN.

Lattice parameters (Å, degrees): 10.4181 10.4181 10.4181 89.68 89.68 89.68
Fractional coordinates of all 34 atoms:
Te 0.5603 0.2412 0.3088
Al 0.8471 0.5779 0.8879
Te 0.1716 0.1716 0.1716
Al 0.3445 0.1647 0.7438
Te 0.7588 0.4397 0.6912
Te 0.4248 0.3272 0.9240
Te 0.1794 0.0000 0.8206
Te 0.0000 0.8206 0.1794
Al 0.5718 0.5718 0.5718
Al 0.4282 0.4282 0.4282
Al 0.2562 0.8353 0.6555
Te 0.6912 0.7588 0.4397
Te 0.6728 0.5752 0.0760
Te 0.3272 0.9240 0.4248
Te 0.4397 0.6912 0.7588
Te 0.8206 0.1794 0.0000
Te 0.5000 0.9192 0.0808
Al 0.8879 0.8471 0.5779
Al 0.1529 0.1121 0.4221
Te 0.0760 0.6728 0.5752
Al 0.7438 0.3445 0.1647
Al 0.8353 0.6555 0.2562
Te 0.2412 0.3088 0.5603
Al 0.1647 0.7438 0.3445
Te 0.9192 0.0808 0.5000
Te 0.9240 0.4248 0.3272
Te 0.0808 0.5000 0.9192
Al 0.5779 0.8879 0.8471
Al 0.6555 0.2562 0.8353
Al 0.4221 0.1529 0.1121
Te 0.5752 0.0760 0.6728
Al 0.1121 0.4221 0.1529
Te 0.8284 0.8284 0.8284
Te 0.3088 0.5603 0.2412

Energy relative to the elements: -52.7 kJ/mol of atoms

(9)
This record from the Materials Project database describes an optimized crystal structure of FeH. The functional is r²SCAN.

Lattice parameters (Å, degrees): 2.6822 2.6822 2.6822 60.00 60.00 60.00
Fractional coordinates of all 2 atoms:
Fe 0.0000 0.0000 0.0000
H 0.5000 0.5000 0.5000

Energy relative to the elements: 5.6 kJ/mol of atoms

(10)
This record from the Materials Project database describes an optimized crystal structure of NdDy3. The functional is r²SCAN.

Lattice parameters (Å, degrees): 6.1995 6.1995 6.1995 131.74 131.74 70.64
Fractional coordinates of all 4 atoms:
Dy 0.5000 0.5000 0.0000
Dy 0.2500 0.7500 0.5000
Nd 0.0000 0.0000 0.0000
Dy 0.7500 0.2500 0.5000

Energy relative to the elements: 3.9 kJ/mol of atoms

(11)
This record from the Materials Project database describes an optimized crystal structure of CaGe2Rh2. The functional is r²SCAN.

Lattice parameters (Å, degrees): 5.9746 5.9746 5.9746 139.39 139.39 58.78
Fractional coordinates of all 5 atoms:
Ge 0.6266 0.6266 0.0000
Ge 0.3734 0.3734 0.0000
Rh 0.7500 0.2500 0.5000
Rh 0.2500 0.7500 0.5000
Ca 0.0000 0.0000 0.0000

Energy relative to the elements: -83.8 kJ/mol of atoms

(12)
This record from the Materials Project database describes an optimized crystal structure of Cu2P2O7. The functional is r²SCAN.

Lattice parameters (Å, degrees): 5.3211 5.3211 4.5674 77.37 77.37 99.28
Fractional coordinates of all 11 atoms:
O 0.6387 0.9544 0.2265
P 0.1967 0.2028 0.5922
O 0.0456 0.3613 0.7735
Cu 0.6849 0.3151 0.0000
O 0.3764 0.3817 0.2800
O 0.9500 0.6458 0.2272
Cu 0.3098 0.6902 0.0000
O 0.9953 0.0047 0.5000
P 0.7972 0.8033 0.4078
O 0.3542 0.0500 0.7728
O 0.6183 0.6236 0.7200

Energy relative to the elements: -177.5 kJ/mol of atoms

| no. | V (Å³ per cell) |
| --- | --- |
| 1 | 106.4 |
| 2 | 281.6 |
| 3 | 116.9 |
| 4 | 239.8 |
| 5 | 488.5 |
| 6 | 464.7 |
| 7 | 217.2 |
| 8 | 1130.7 |
| 9 | 13.6 |
| 10 | 130.0 |
| 11 | 89.5 |
| 12 | 120.1 |